No. 1
DFT (GGA-PBE) results for an optimized crystal structure of EuTiClO3.

Geometry as POSCAR:
```
EuTiClO3
1.0
1.964 4.932 0.000
-1.964 4.932 0.000
0.000 2.927 9.873
Eu Ti Cl O
2 2 2 6
Cartesian
0.000 8.278 1.993 Eu
0.000 4.512 7.880 Eu
0.000 7.759 5.575 Ti
0.000 5.030 4.298 Ti
0.000 1.388 0.960 Cl
0.000 11.402 8.913 Cl
0.000 8.565 7.286 O
0.000 6.799 3.758 O
0.000 4.225 2.587 O
0.000 5.991 6.115 O
0.000 3.284 5.525 O
0.000 9.506 4.348 O
```

Values from the calculation:
The density comes out at 4919 kg/m³. The MP2020-corrected energy comes out at -106.89 eV per cell. As for the formation energy: -18.6 eV/f.u. The value obtained for the total energy is -102.8 eV/cell. The value obtained for the volume is 191 Å³ per cell.

---

No. 2
DFT (GGA-PBE) results for an optimized crystal structure of YAl10Fe2.

Geometry as POSCAR:
```
YAl10Fe2
1.0
4.469 -5.070 0.000
4.469 5.070 0.000
0.000 0.000 8.975
Y Al Fe
2 20 4
Cartesian
4.469 3.794 2.244 Y
4.469 -3.794 6.732 Y
6.485 1.421 2.244 Al
2.453 -1.421 6.732 Al
6.485 -1.421 6.732 Al
2.453 1.421 2.244 Al
3.120 -1.310 2.244 Al
5.819 1.310 6.732 Al
3.120 1.310 6.732 Al
5.819 -1.310 2.244 Al
4.469 3.464 8.103 Al
4.469 -3.464 3.616 Al
4.469 -3.464 0.872 Al
4.469 3.464 5.360 Al
4.469 1.270 4.049 Al
4.469 -1.270 8.536 Al
4.469 -1.270 4.927 Al
4.469 1.270 0.439 Al
2.032 0.000 4.488 Al
6.906 0.000 0.000 Al
6.906 0.000 4.488 Al
2.032 0.000 0.000 Al
2.235 -2.535 4.488 Fe
2.235 -2.535 0.000 Fe
2.235 2.535 4.488 Fe
2.235 2.535 0.000 Fe
```

Values from the calculation:
The density comes out at 3841 kg/m³. As for the formation energy: -4.6 eV/f.u. The value obtained for the total energy is -131.0 eV/cell. The value obtained for the volume is 407 Å³ per cell.

---

No. 3
DFT (GGA-PBE) results for an optimized crystal structure of Lu2TeO6.

Geometry as POSCAR:
```
Lu2TeO6
1.0
5.202 0.000 0.000
0.000 8.984 0.000
0.000 0.000 9.852
Lu Te O
8 4 24
Cartesian
0.111 3.564 0.398 Lu
0.199 2.540 6.258 Lu
2.402 6.445 1.331 Lu
2.491 5.420 5.325 Lu
2.712 0.928 9.454 Lu
2.800 1.953 3.595 Lu
5.003 7.032 8.521 Lu
5.092 8.056 4.528 Lu
0.202 0.053 1.445 Te
2.400 8.932 6.372 Te
2.803 4.439 8.407 Te
5.001 4.545 3.481 Te
0.467 5.917 4.669 O
0.912 4.929 1.969 O
0.990 7.700 2.579 O
0.911 7.698 6.679 O
1.224 3.449 4.286 O
1.286 8.223 0.012 O
1.315 0.762 4.938 O
1.377 5.535 9.212 O
1.690 1.286 1.753 O
1.611 1.285 7.505 O
1.689 4.056 6.895 O
2.134 3.067 9.595 O
3.069 7.560 5.184 O
3.513 8.548 7.884 O
3.591 5.777 7.274 O
3.513 5.778 3.174 O
3.825 1.043 5.566 O
3.887 5.254 9.841 O
3.916 3.731 4.915 O
3.979 7.941 0.640 O
4.291 3.206 8.100 O
4.213 3.208 2.347 O
4.291 0.437 2.958 O
4.735 1.425 0.258 O
```

Values from the calculation:
The density comes out at 8272 kg/m³. The MP2020-corrected energy comes out at -277.38 eV per cell. As for the formation energy: -27.5 eV/f.u. The value obtained for the total energy is -260.9 eV/cell. The value obtained for the volume is 461 Å³ per cell. For the distance to the lowest polymorph of the same formula, the calculation gives 0.0101 eV/atom.